The following is a DFT calculation (GGA-PBE) of a geometry-optimized Te4MoW3Se2S2 structure.

a = 3.401 Å, b = 3.401 Å, c = 38.747 Å
α = 90.00°, β = 90.00°, γ = 120.00°
Fractional coordinates of all 12 atoms:
Te1 0.000 0.000 0.000
Te2 0.000 0.000 0.097
Te3 0.333 0.667 0.436
Te4 0.333 0.667 0.534
Mo1 0.333 0.667 0.673
W1 0.000 0.000 0.485
W2 0.000 0.000 0.861
W3 0.333 0.667 0.049
Se1 0.333 0.667 0.818
Se2 0.333 0.667 0.903
S1 0.000 0.000 0.634
S2 0.000 0.000 0.712

Properties
Calculated formation energy (eV/atom): -0.422
Raw total energy (eV for the cell shown): -81.6
E above lowest polymorph (eV per atom): 0.036
Calculated volume (Å³ per atom): 32.35